Version 1
The following is a PBE calculation of a relaxed Ti3O5 crystal, from the Materials Project database.

```
data_Ti3O5
_symmetry_space_group_name_H-M 'P 1'
_symmetry_Int_Tables_number 1
_cell_length_a 10.586
_cell_length_b 10.963
_cell_length_c 11.005
_cell_angle_alpha 91.95
_cell_angle_beta 90.74
_cell_angle_gamma 90.56
loop_
_symmetry_equiv_pos_as_xyz
'x,y,z'
loop_
_atom_site_label
_atom_site_type_symbol
_atom_site_fract_x
_atom_site_fract_y
_atom_site_fract_z
_atom_site_occupancy
Ti1 Ti 0.000 0.000 0.000 1
Ti2 Ti 0.001 0.230 0.233 1
Ti3 Ti 0.011 0.943 0.289 1
Ti4 Ti 0.066 0.743 0.042 1
Ti5 Ti 0.111 0.607 0.796 1
Ti6 Ti 0.146 0.704 0.356 1
Ti7 Ti 0.147 0.125 0.721 1
Ti8 Ti 0.149 0.439 0.063 1
Ti9 Ti 0.194 0.169 0.469 1
Ti10 Ti 0.195 0.420 0.525 1
Ti11 Ti 0.206 0.875 0.634 1
Ti12 Ti 0.235 0.214 0.081 1
Ti13 Ti 0.316 0.919 0.938 1
Ti14 Ti 0.345 0.381 0.750 1
Ti15 Ti 0.353 0.904 0.351 1
Ti16 Ti 0.368 0.617 0.015 1
Ti17 Ti 0.428 0.657 0.497 1
Ti18 Ti 0.434 0.254 0.340 1
Ti19 Ti 0.466 0.084 0.536 1
Ti20 Ti 0.491 0.886 0.674 1
Ti21 Ti 0.493 0.429 0.153 1
Ti22 Ti 0.514 0.070 0.129 1
Ti23 Ti 0.544 0.689 0.812 1
Ti24 Ti 0.552 0.414 0.503 1
Ti25 Ti 0.554 0.781 0.112 1
Ti26 Ti 0.577 0.166 0.828 1
Ti27 Ti 0.581 0.422 0.855 1
Ti28 Ti 0.676 0.901 0.889 1
Ti29 Ti 0.731 0.692 0.385 1
Ti30 Ti 0.753 0.974 0.586 1
Ti31 Ti 0.756 0.258 0.012 1
Ti32 Ti 0.765 0.155 0.328 1
Ti33 Ti 0.815 0.523 0.679 1
Ti34 Ti 0.874 0.278 0.561 1
Ti35 Ti 0.899 0.066 0.790 1
Ti36 Ti 0.902 0.733 0.860 1
Ti37 Ti 0.911 0.567 0.150 1
Ti38 Ti 0.943 0.474 0.433 1
Ti39 Ti 0.957 0.784 0.566 1
O1 O 0.024 0.382 0.568 1
O2 O 0.043 0.756 0.735 1
O3 O 0.066 0.121 0.357 1
O4 O 0.073 0.073 0.863 1
O5 O 0.074 0.632 0.188 1
O6 O 0.081 0.114 0.115 1
O7 O 0.114 0.533 0.406 1
O8 O 0.140 0.331 0.192 1
O9 O 0.144 0.744 0.531 1
O10 O 0.147 0.879 0.974 1
O11 O 0.151 0.028 0.575 1
O12 O 0.177 0.608 0.960 1
O13 O 0.188 0.893 0.293 1
O14 O 0.193 0.315 0.949 1
O15 O 0.217 0.502 0.703 1
O16 O 0.249 0.258 0.642 1
O17 O 0.258 0.966 0.777 1
O18 O 0.280 0.315 0.402 1
O19 O 0.319 0.482 0.116 1
O20 O 0.334 0.720 0.363 1
O21 O 0.344 0.088 0.393 1
O22 O 0.348 0.060 0.031 1
O23 O 0.360 0.900 0.538 1
O24 O 0.368 0.789 0.050 1
O25 O 0.376 0.503 0.503 1
O26 O 0.401 0.256 0.157 1
O27 O 0.431 0.711 0.663 1
O28 O 0.434 0.542 0.874 1
O29 O 0.449 0.285 0.860 1
O30 O 0.469 0.922 0.231 1
O31 O 0.470 0.075 0.708 1
O32 O 0.470 0.867 0.851 1
O33 O 0.497 0.408 0.677 1
O34 O 0.511 0.607 0.130 1
O35 O 0.533 0.238 0.501 1
O36 O 0.536 0.410 0.318 1
O37 O 0.582 0.956 0.524 1
O38 O 0.594 0.146 0.270 1
O39 O 0.597 0.615 0.468 1
O40 O 0.610 0.156 0.003 1
O41 O 0.612 0.942 0.053 1
O42 O 0.623 0.402 0.037 1
O43 O 0.648 0.740 0.959 1
O44 O 0.658 0.819 0.726 1
O45 O 0.666 0.755 0.254 1
O46 O 0.674 0.559 0.777 1
O47 O 0.708 0.294 0.833 1
O48 O 0.714 0.052 0.757 1
O49 O 0.737 0.400 0.560 1
O50 O 0.781 0.124 0.509 1
O51 O 0.783 0.821 0.495 1
O52 O 0.826 0.232 0.174 1
O53 O 0.835 0.564 0.308 1
O54 O 0.846 0.018 0.294 1
O55 O 0.861 0.907 0.899 1
O56 O 0.868 0.137 0.955 1
O57 O 0.886 0.609 0.545 1
O58 O 0.891 0.671 0.022 1
O59 O 0.892 0.298 0.382 1
O60 O 0.917 0.937 0.656 1
O61 O 0.945 0.550 0.799 1
O62 O 0.953 0.428 0.074 1
O63 O 0.972 0.186 0.685 1
O64 O 0.981 0.882 0.135 1
O65 O 0.985 0.802 0.380 1
```

=====

Version 2
The following is a PBE calculation of a relaxed Ti3O5 crystal, from the Materials Project database.

```
data_Ti3O5
_symmetry_space_group_name_H-M 'P 1'
_symmetry_Int_Tables_number 1
_cell_length_a 10.805
_cell_length_b 10.852
_cell_length_c 10.959
_cell_angle_alpha 91.53
_cell_angle_beta 90.41
_cell_angle_gamma 91.32
loop_
_symmetry_equiv_pos_as_xyz
'x,y,z'
loop_
_atom_site_label
_atom_site_type_symbol
_atom_site_fract_x
_atom_site_fract_y
_atom_site_fract_z
_atom_site_occupancy
Ti1 Ti 0.000 0.000 0.000 1
Ti2 Ti 0.002 0.250 0.727 1
Ti3 Ti 0.031 0.217 0.235 1
Ti4 Ti 0.045 0.537 0.314 1
Ti5 Ti 0.093 0.306 0.987 1
Ti6 Ti 0.106 0.740 0.578 1
Ti7 Ti 0.139 0.588 0.076 1
Ti8 Ti 0.149 0.034 0.519 1
Ti9 Ti 0.182 0.282 0.440 1
Ti10 Ti 0.231 0.849 0.994 1
Ti11 Ti 0.254 0.990 0.766 1
Ti12 Ti 0.279 0.429 0.231 1
Ti13 Ti 0.286 0.588 0.707 1
Ti14 Ti 0.292 0.130 0.133 1
Ti15 Ti 0.347 0.290 0.844 1
Ti16 Ti 0.371 0.673 0.199 1
Ti17 Ti 0.406 0.818 0.494 1
Ti18 Ti 0.434 0.542 0.433 1
Ti19 Ti 0.437 0.321 0.538 1
Ti20 Ti 0.447 0.057 0.557 1
Ti21 Ti 0.460 0.751 0.941 1
Ti22 Ti 0.463 0.932 0.232 1
Ti23 Ti 0.502 0.499 0.808 1
Ti24 Ti 0.602 0.393 0.071 1
Ti25 Ti 0.610 0.142 0.300 1
Ti26 Ti 0.610 0.960 0.766 1
Ti27 Ti 0.664 0.772 0.577 1
Ti28 Ti 0.685 0.438 0.334 1
Ti29 Ti 0.723 0.751 0.911 1
Ti30 Ti 0.728 0.085 0.537 1
Ti31 Ti 0.807 0.530 0.686 1
Ti32 Ti 0.810 0.920 0.172 1
Ti33 Ti 0.813 0.656 0.208 1
Ti34 Ti 0.818 0.178 0.941 1
Ti35 Ti 0.861 0.978 0.744 1
Ti36 Ti 0.878 0.443 0.027 1
Ti37 Ti 0.896 0.784 0.465 1
Ti38 Ti 0.921 0.263 0.483 1
Ti39 Ti 0.985 0.735 0.832 1
O1 O 0.033 0.364 0.358 1
O2 O 0.033 0.640 0.457 1
O3 O 0.057 0.885 0.478 1
O4 O 0.058 0.135 0.403 1
O5 O 0.086 0.728 0.973 1
O6 O 0.091 0.303 0.582 1
O7 O 0.100 0.143 0.074 1
O8 O 0.109 0.073 0.672 1
O9 O 0.113 0.645 0.726 1
O10 O 0.137 0.964 0.896 1
O11 O 0.161 0.273 0.830 1
O12 O 0.202 0.604 0.253 1
O13 O 0.206 0.424 0.062 1
O14 O 0.217 0.250 0.249 1
O15 O 0.275 0.705 0.554 1
O16 O 0.291 0.942 0.586 1
O17 O 0.297 0.951 0.122 1
O18 O 0.302 0.461 0.811 1
O19 O 0.303 0.677 0.031 1
O20 O 0.308 0.169 0.509 1
O21 O 0.321 0.397 0.402 1
O22 O 0.337 0.206 0.001 1
O23 O 0.341 0.861 0.857 1
O24 O 0.359 0.117 0.772 1
O25 O 0.359 0.805 0.321 1
O26 O 0.374 0.498 0.593 1
O27 O 0.426 0.661 0.782 1
O28 O 0.441 0.114 0.225 1
O29 O 0.450 0.523 0.230 1
O30 O 0.463 0.323 0.708 1
O31 O 0.479 0.393 0.949 1
O32 O 0.490 0.787 0.127 1
O33 O 0.496 0.964 0.411 1
O34 O 0.515 0.881 0.629 1
O35 O 0.529 0.686 0.491 1
O36 O 0.548 0.188 0.458 1
O37 O 0.563 0.428 0.453 1
O38 O 0.584 0.874 0.918 1
O39 O 0.595 0.097 0.652 1
O40 O 0.595 0.623 0.926 1
O41 O 0.618 0.302 0.220 1
O42 O 0.644 0.987 0.215 1
O43 O 0.645 0.504 0.710 1
O44 O 0.714 0.606 0.335 1
O45 O 0.721 0.076 0.848 1
O46 O 0.721 0.816 0.741 1
O47 O 0.722 0.322 0.978 1
O48 O 0.731 0.505 0.128 1
O49 O 0.766 0.773 0.082 1
O50 O 0.773 0.913 0.526 1
O51 O 0.784 0.140 0.381 1
O52 O 0.808 0.381 0.420 1
O53 O 0.808 0.659 0.568 1
O54 O 0.838 0.815 0.305 1
O55 O 0.843 0.080 0.075 1
O56 O 0.849 0.614 0.843 1
O57 O 0.872 0.139 0.626 1
O58 O 0.887 0.879 0.900 1
O59 O 0.890 0.386 0.665 1
O60 O 0.939 0.332 0.891 1
O61 O 0.952 0.324 0.124 1
O62 O 0.955 0.109 0.849 1
O63 O 0.965 0.574 0.151 1
O64 O 0.981 0.832 0.689 1
O65 O 0.985 0.919 0.145 1
```

=====

Version 3
The following is a PBE calculation of a relaxed Ti3O5 crystal, from the Materials Project database.

```
data_Ti3O5
_symmetry_space_group_name_H-M 'P 1'
_symmetry_Int_Tables_number 1
_cell_length_a 10.696
_cell_length_b 10.884
_cell_length_c 11.487
_cell_angle_alpha 92.42
_cell_angle_beta 91.21
_cell_angle_gamma 90.33
loop_
_symmetry_equiv_pos_as_xyz
'x,y,z'
loop_
_atom_site_label
_atom_site_type_symbol
_atom_site_fract_x
_atom_site_fract_y
_atom_site_fract_z
_atom_site_occupancy
Ti1 Ti 0.000 0.000 0.000 1
Ti2 Ti 0.002 0.549 0.976 1
Ti3 Ti 0.036 0.935 0.327 1
Ti4 Ti 0.080 0.244 0.328 1
Ti5 Ti 0.103 0.733 0.809 1
Ti6 Ti 0.158 0.727 0.325 1
Ti7 Ti 0.172 0.802 0.058 1
Ti8 Ti 0.199 0.174 0.526 1
Ti9 Ti 0.204 0.313 0.100 1
Ti10 Ti 0.208 0.853 0.606 1
Ti11 Ti 0.226 0.463 0.315 1
Ti12 Ti 0.232 0.271 0.791 1
Ti13 Ti 0.243 0.037 0.192 1
Ti14 Ti 0.245 0.426 0.598 1
Ti15 Ti 0.282 0.567 0.053 1
Ti16 Ti 0.346 0.087 0.966 1
Ti17 Ti 0.401 0.099 0.681 1
Ti18 Ti 0.419 0.641 0.719 1
Ti19 Ti 0.449 0.966 0.418 1
Ti20 Ti 0.453 0.701 0.453 1
Ti21 Ti 0.553 0.323 0.820 1
Ti22 Ti 0.558 0.011 0.155 1
Ti23 Ti 0.566 0.592 0.936 1
Ti24 Ti 0.567 0.429 0.544 1
Ti25 Ti 0.612 0.834 0.736 1
Ti26 Ti 0.702 0.665 0.357 1
Ti27 Ti 0.711 0.061 0.616 1
Ti28 Ti 0.716 0.931 0.393 1
Ti29 Ti 0.731 0.233 0.351 1
Ti30 Ti 0.756 0.321 0.027 1
Ti31 Ti 0.780 0.776 0.066 1
Ti32 Ti 0.810 0.091 0.868 1
Ti33 Ti 0.839 0.559 0.700 1
Ti34 Ti 0.841 0.106 0.176 1
Ti35 Ti 0.845 0.811 0.613 1
Ti36 Ti 0.916 0.619 0.225 1
Ti37 Ti 0.933 0.255 0.595 1
Ti38 Ti 0.971 0.015 0.695 1
Ti39 Ti 0.979 0.516 0.464 1
O1 O 0.025 0.844 0.680 1
O2 O 0.034 0.093 0.568 1
O3 O 0.042 0.055 0.159 1
O4 O 0.072 0.861 0.920 1
O5 O 0.074 0.565 0.333 1
O6 O 0.089 0.373 0.216 1
O7 O 0.114 0.840 0.459 1
O8 O 0.124 0.280 0.655 1
O9 O 0.129 0.533 0.562 1
O10 O 0.144 0.079 0.373 1
O11 O 0.146 0.446 0.999 1
O12 O 0.178 0.873 0.228 1
O13 O 0.197 0.661 0.934 1
O14 O 0.203 0.659 0.164 1
O15 O 0.214 0.210 0.952 1
O16 O 0.229 0.332 0.437 1
O17 O 0.235 0.208 0.225 1
O18 O 0.257 0.720 0.715 1
O19 O 0.260 0.992 0.697 1
O20 O 0.273 0.427 0.765 1
O21 O 0.283 0.943 0.035 1
O22 O 0.311 0.627 0.376 1
O23 O 0.318 0.433 0.168 1
O24 O 0.353 0.853 0.502 1
O25 O 0.364 0.100 0.515 1
O26 O 0.405 0.511 0.581 1
O27 O 0.409 0.002 0.259 1
O28 O 0.411 0.212 0.831 1
O29 O 0.447 0.614 0.044 1
O30 O 0.498 0.504 0.804 1
O31 O 0.502 0.101 0.031 1
O32 O 0.513 0.738 0.839 1
O33 O 0.517 0.735 0.617 1
O34 O 0.553 0.294 0.661 1
O35 O 0.556 0.002 0.709 1
O36 O 0.562 0.813 0.370 1
O37 O 0.577 0.575 0.431 1
O38 O 0.597 0.034 0.483 1
O39 O 0.609 0.335 0.416 1
O40 O 0.624 0.427 0.965 1
O41 O 0.630 0.874 0.108 1
O42 O 0.668 0.084 0.271 1
O43 O 0.685 0.223 0.883 1
O44 O 0.685 0.502 0.635 1
O45 O 0.722 0.283 0.174 1
O46 O 0.722 0.673 0.953 1
O47 O 0.743 0.681 0.197 1
O48 O 0.751 0.724 0.722 1
O49 O 0.785 0.950 0.745 1
O50 O 0.790 0.783 0.454 1
O51 O 0.791 0.184 0.502 1
O52 O 0.832 0.542 0.360 1
O53 O 0.837 0.944 0.013 1
O54 O 0.843 0.160 0.710 1
O55 O 0.860 0.969 0.297 1
O56 O 0.874 0.178 0.023 1
O57 O 0.879 0.447 0.024 1
O58 O 0.902 0.402 0.678 1
O59 O 0.905 0.214 0.296 1
O60 O 0.909 0.632 0.577 1
O61 O 0.958 0.694 0.064 1
O62 O 0.970 0.609 0.822 1
O63 O 0.977 0.765 0.287 1
O64 O 0.979 0.347 0.459 1
O65 O 0.998 0.076 0.852 1
```

=====

Version 4
The following is a PBE calculation of a relaxed Ti3O5 crystal, from the Materials Project database.

```
data_Ti3O5
_symmetry_space_group_name_H-M 'C m c m'
_symmetry_Int_Tables_number 63
_symmetry_space_group_name_Hall '-C 2c 2'
_cell_length_a 3.796
_cell_length_b 9.895
_cell_length_c 10.071
_cell_angle_alpha 90.00
_cell_angle_beta 90.00
_cell_angle_gamma 90.00
loop_
_atom_site_label
_atom_site_type_symbol
_atom_site_fract_x
_atom_site_fract_y
_atom_site_fract_z
_atom_site_occupancy
Ti1 Ti 0.000 0.131 0.057 1
Ti2 Ti 0.000 0.198 0.750 1
O1 O 0.000 0.051 0.623 1
O2 O 0.000 0.233 0.250 1
O3 O 0.000 0.317 0.569 1
```

=====

Out of the structures above, which one is the least stable? Solution: version 3.